1.
Below is a relaxed structure of K3V5Te4H8O24, with properties calculated at the PBE with a Hubbard U level.

Values from the calculation:
- ΔH_f (0 K) (meV per atom) = -1872
- E_tot (eV/atom) = -6.013
- V (Å³/cell) = 1187

Unit cell a=7.6589 b=9.0382 c=17.1536 alpha=90.00 beta=90.00 gamma=90.00
Last column: nearest neighbours and their distance in Å.
Element x y z (fractional)
H1 0.7433 0.6997 0.9303  1 O 0.99
O1 0.8173 0.1522 0.7475  1 H 1.85, 1 Te 1.92, 1 V 2.05
H2 0.7567 0.3003 0.4303  1 O 0.99
V1 0.5000 0.4405 0.0000  4 O 1.68-1.84
O2 0.1851 0.4368 0.1740  1 Te 1.93, 1 V 1.98
Te1 0.5000 0.5428 0.2507  3 O 1.90-1.93
H3 0.2287 0.1989 0.3558  1 O 0.98
O3 0.3149 0.5632 0.6740  1 Te 1.93, 1 V 1.98
O4 0.8149 0.4368 0.1740  1 Te 1.93, 1 V 1.98
O5 0.6851 0.5632 0.3260  1 Te 1.93, 1 V 1.98
V2 0.6940 0.2449 0.8416  1 O 1.66
O6 0.1827 0.1522 0.2525  1 H 1.85, 1 Te 1.92, 1 V 2.05
H4 0.7713 0.1989 0.6442  1 O 0.98
Te2 0.0000 0.4572 0.7507  3 O 1.90-1.93
H5 0.7567 0.3003 0.5697  1 O 0.99
O7 0.8173 0.1522 0.2525  1 H 1.85, 1 Te 1.92, 1 V 2.05
O8 0.2502 0.1968 0.4122  2 H 0.98-0.99
K1 0.5000 0.0467 0.5000  8 O 2.79-2.83
H6 0.2433 0.3003 0.5697  1 O 0.99
K2 0.0000 0.0236 0.5000  6 O 2.90-3.12
O9 0.6851 0.5632 0.6740  1 Te 1.93, 1 V 1.98
H7 0.2287 0.1989 0.6442  1 O 0.98
O10 0.2498 0.8032 0.0878  2 H 0.98-0.99
O11 0.3164 0.5428 0.0000  1 V 1.68
O12 0.5000 0.3323 0.2462  1 Te 1.90
O13 0.5000 0.3314 0.9098  3 V 1.84-2.05
V3 0.3060 0.2449 0.1584  1 O 1.66
O14 0.1827 0.1522 0.7475  1 H 1.85, 1 Te 1.92, 1 V 2.05
O15 0.3173 0.8478 0.2475  1 H 1.85, 1 Te 1.92, 1 V 2.05
K3 0.5000 0.9764 0.0000  6 O 2.90-3.12
V4 0.3060 0.2449 0.8416  1 O 1.66
H8 0.7287 0.8011 0.1442  1 O 0.98
O16 0.0000 0.6677 0.7462  1 Te 1.90
O17 0.1851 0.4368 0.8260  1 Te 1.93, 1 V 1.98
O18 0.0000 0.6677 0.2538  1 Te 1.90
O19 0.5000 0.0833 0.1730  1 Te 1.94, 2 V 2.10
Te3 0.5000 0.9850 0.7267  3 O 1.92-1.94
O20 0.0000 0.6686 0.5902  3 V 1.84-2.05
Te4 0.5000 0.5428 0.7493  3 O 1.90-1.93
O21 0.5000 0.3314 0.0902  3 V 1.84-2.05
H9 0.2567 0.6997 0.0697  1 O 0.99
O22 0.2502 0.1968 0.5878  2 H 0.98-0.99
V5 0.1940 0.7551 0.6584  1 O 1.66
V6 0.0000 0.5595 0.5000  4 O 1.68-1.84
O23 0.3173 0.8478 0.7525  1 H 1.85, 1 Te 1.92, 1 V 2.05
O24 0.8149 0.4368 0.8260  1 Te 1.93, 1 V 1.98
O25 0.6908 0.8386 0.4110  1 V 1.66
O26 0.7498 0.1968 0.4122  2 H 0.98-0.99
O27 0.6908 0.8386 0.5890  1 V 1.66
O28 0.6827 0.8478 0.2475  1 H 1.85, 1 Te 1.92, 1 V 2.05
H10 0.7287 0.8011 0.8558  1 O 0.98
O29 0.5000 0.3323 0.7538  1 Te 1.90
O30 0.8092 0.1614 0.0890  1 V 1.66
O31 0.0000 0.9167 0.6730  1 Te 1.94, 2 V 2.10
O32 0.3092 0.8386 0.4110  1 V 1.66
O33 0.5000 0.0833 0.8270  1 Te 1.94, 2 V 2.10
Te5 0.0000 0.0150 0.7733  3 O 1.92-1.94
H11 0.2433 0.3003 0.4303  1 O 0.99
Te6 0.0000 0.4572 0.2493  3 O 1.90-1.93
V7 0.8060 0.7551 0.3416  1 O 1.66
O34 0.7498 0.1968 0.5878  2 H 0.98-0.99
O35 0.0000 0.9167 0.3270  1 Te 1.94, 2 V 2.10
H12 0.7713 0.1989 0.3558  1 O 0.98
O36 0.1908 0.1614 0.9110  1 V 1.66
O37 0.6836 0.5428 0.0000  1 V 1.68
Te7 0.5000 0.9850 0.2733  3 O 1.92-1.94
O38 0.7502 0.8032 0.0878  2 H 0.98-0.99
K4 0.0000 0.3910 0.0000  6 O 2.78-2.96
H13 0.7433 0.6997 0.0697  1 O 0.99
O39 0.7502 0.8032 0.9122  2 H 0.98-0.99
H14 0.2713 0.8011 0.8558  1 O 0.98
H15 0.2713 0.8011 0.1442  1 O 0.98
O40 0.2498 0.8032 0.9122  2 H 0.98-0.99
O41 0.1836 0.4572 0.5000  1 V 1.68
O42 0.3092 0.8386 0.5890  1 V 1.66
O43 0.3149 0.5632 0.3260  1 Te 1.93, 1 V 1.98
Te8 0.0000 0.0150 0.2267  3 O 1.92-1.94
V8 0.6940 0.2449 0.1584  1 O 1.66
O44 0.8092 0.1614 0.9110  1 V 1.66
H16 0.2567 0.6997 0.9303  1 O 0.99
O45 0.8164 0.4572 0.5000  1 V 1.68
K5 0.5000 0.6090 0.5000  6 O 2.78-2.96
O46 0.1908 0.1614 0.0890  1 V 1.66
O47 0.6827 0.8478 0.7525  1 H 1.85, 1 Te 1.92, 1 V 2.05
V9 0.1940 0.7551 0.3416  1 O 1.66
V10 0.8060 0.7551 0.6584  1 O 1.66
K6 0.0000 0.9533 0.0000  8 O 2.79-2.83
O48 0.0000 0.6686 0.4098  3 V 1.84-2.05



2.
Below is a relaxed structure of KVH4O7, with properties calculated at the PBE with a Hubbard U level.

Values from the calculation:
- ΔH_f (0 K) (meV per atom) = -1529
- E_tot (eV/atom) = -5.521
- V (Å³/cell) = 335

Unit cell a=6.5733 b=8.1403 c=7.5121 alpha=106.62 beta=96.13 gamma=115.64
Last column: nearest neighbours and their distance in Å.
Element x y z (fractional)
H1 0.0247 0.1764 0.4002  1 O 0.99
H2 0.6880 0.3337 0.1163  1 O 0.99
O1 0.6242 0.0877 0.9851  1 O 1.47
H3 0.0148 0.5811 0.2261  1 O 1.03
O2 0.5464 0.6590 0.9052  1 O 1.46
H4 0.2915 0.6720 0.3489  1 O 1.02
O3 0.1337 0.3399 0.9036  1 V 1.63
V1 0.2550 0.5776 0.9673  1 O 1.63
O4 0.5740 0.6891 0.1092  1 O 1.46
O5 0.4076 0.9585 0.0217  1 O 1.47
H5 0.6982 0.0505 0.4978  1 O 1.00
O6 0.7347 0.1414 0.4267  2 H 0.98-1.00
K1 0.6220 0.4401 0.5617  7 O 2.75-3.00, 1 H 3.03
V2 0.4007 0.8793 0.7546  1 O 1.64
K2 0.0076 0.0057 0.9733  7 O 2.71-2.98
O7 0.1365 0.6151 0.7363  1 O 1.46
H6 0.6286 0.0595 0.2973  1 O 0.98
O8 0.1630 0.1649 0.3719  2 H 0.98-0.99
O9 0.0117 0.6321 0.8847  1 O 1.46
H7 0.6745 0.5341 0.1573  1 O 1.00
O10 0.7471 0.4680 0.2123  2 H 0.99-1.00
O11 0.2515 0.9621 0.6542  1 V 1.64
H8 0.1595 0.0632 0.4183  1 O 0.98
O12 0.1873 0.6514 0.2256  2 H 1.02-1.03
O13 0.4428 0.7023 0.5463  1 O 1.46, 1 H 1.59
O14 0.6467 0.8987 0.6331  1 O 1.46



3.
Below is a relaxed structure of KVH4O7, with properties calculated at the PBE with a Hubbard U level.

Values from the calculation:
- ΔH_f (0 K) (meV per atom) = -1404
- E_tot (eV/atom) = -5.396
- V (Å³/cell) = 346

Unit cell a=6.4447 b=7.7392 c=7.6389 alpha=77.07 beta=68.73 gamma=84.22
Last column: nearest neighbours and their distance in Å.
Element x y z (fractional)
O1 0.7890 0.1390 0.3580  1 V 1.64
H1 0.1499 0.8660 0.4872  1 O 1.01
H2 0.5722 0.7272 0.6575  1 O 0.98
H3 0.4641 0.8248 0.4956  1 O 1.06
O2 0.9217 0.9017 0.6441  1 O 1.45, 1 H 1.57
V1 0.6883 0.0534 0.5889  1 O 1.64
O3 0.2815 0.2569 0.0916  1 V 1.69
H4 0.6712 0.5195 0.0830  1 O 0.98
O4 0.7887 0.4694 0.7277  1 O 1.48
O5 0.2978 0.8124 0.4142  2 H 1.00-1.01
O6 0.5625 0.9656 0.0611  1 O 1.35
H5 0.2361 0.5542 0.7369  1 O 0.98
H6 0.5101 0.6836 0.0376  1 O 1.04
O7 0.3825 0.1339 0.6734  1 O 1.48
O8 0.5246 0.8826 0.9382  1 O 1.35
O9 0.2921 0.5739 0.8334  2 H 0.97-0.98
K1 0.0166 0.0470 0.0109  6 O 2.69-2.93
H7 0.1589 0.5770 0.9465  1 O 0.97
K2 0.1689 0.3577 0.4398  5 O 2.72-2.94
H8 0.3713 0.8863 0.2831  1 O 1.00
O10 0.9168 0.0790 0.6791  1 O 1.45
O11 0.5286 0.2635 0.6843  1 O 1.48
O12 0.8175 0.3521 0.9001  1 O 1.48
O13 0.5142 0.5498 0.0992  2 H 0.98-1.04
O14 0.5961 0.8247 0.5467  2 H 0.98-1.06
V2 0.5075 0.3638 0.9253  1 O 1.69



E_tot of number 1 (K3V5Te4H8O24)?
-6.013 eV/atom